The following is a GGA+U calculation of an optimized crystal structure of MgMn2O4, from the Materials Project.

abc: 5.4316 5.9569 6.0043
angles: 60.27 74.03 89.92
Last column: nearest neighbours and their distance in Å.
Atoms (fractional coordinates):
Mg (0.0000, 0.2501, 0.9999)  6 O 2.11-2.12
Mg (0.0000, 0.7499, 0.0001)  6 O 2.11-2.12
Mn (0.0001, 0.2493, 0.5001)  6 O 1.94-1.96
Mn (0.9999, 0.7507, 0.4999)  6 O 1.94-1.96
Mn (0.5000, 0.0000, 0.5000)  6 O 2.22-2.24
Mn (0.5000, 0.5000, 0.5000)  6 O 2.22-2.23
O (0.1991, 0.1053, 0.2888)  2 Mn 1.96, 1 Mg 2.11
O (0.1998, 0.6043, 0.2908)  2 Mn 1.96, 1 Mg 2.12
O (0.2134, 0.1321, 0.7355)  1 Mn 1.94, 2 Mg 2.11
O (0.2134, 0.6319, 0.7355)  1 Mn 1.94, 2 Mg 2.11
O (0.7866, 0.3681, 0.2645)  1 Mn 1.94, 2 Mg 2.11
O (0.7866, 0.8679, 0.2645)  1 Mn 1.94, 2 Mg 2.11
O (0.8002, 0.3957, 0.7092)  2 Mn 1.96, 1 Mg 2.12
O (0.8009, 0.8947, 0.7112)  2 Mn 1.96, 1 Mg 2.11

Computed properties:
Total moment   2.999 μB per formula unit
ΔE to the lowest computed polymorph   0.072 eV per atom
Calculated formation energy   -2.2698 eV per atom
Space group   P-1 (2)
VASP energy   -7.0744 eV per atom